Entry 1:
First-principles (PBE with a Hubbard U) data for Cs2NaFeF6 after structural relaxation, as listed in the Materials Project.

E above lowest polymorph   0 meV/atom
Calculated formation energy   -2.932 eV/atom
Volume   18.2 Å³ per atom

Cell and atoms, written as CIF:
```
data_Cs2NaFeF6
_chemical_formula_sum 'Cs12 Na6 Fe6 F36'
_cell_length_a 6.3715
_cell_length_b 6.3715
_cell_length_c 31.0507
_cell_angle_alpha 90.00
_cell_angle_beta 90.00
_cell_angle_gamma 120.00
_symmetry_space_group_name_H-M 'R -3 m'
_symmetry_Int_Tables_number 166
_symmetry_space_group_name_Hall '-R 3 2"'
loop_
_atom_site_label
_atom_site_type_symbol
_atom_site_fract_x
_atom_site_fract_y
_atom_site_fract_z
_atom_site_occupancy
Cs1 Cs 0.0000 0.0000 0.1275 1
Cs2 Cs 0.0000 0.0000 0.2820 1
Na1 Na 0.0000 0.0000 0.4029 1
Fe1 Fe 0.0000 0.0000 0.0000 1
Fe2 Fe 0.0000 0.0000 0.5000 1
F1 F 0.0382 0.5191 0.7031 1
F2 F 0.0487 0.5243 0.1286 1
```

***

Entry 2:
First-principles (PBE with a Hubbard U) data for Cs2NaFeF6 after structural relaxation, as listed in the Materials Project.

E above lowest polymorph   3 meV/atom
Calculated formation energy   -2.929 eV/atom
Volume   17.5 Å³ per atom

Cell and atoms, written as CIF:
```
data_Cs2NaFeF6
_chemical_formula_sum 'Cs8 Na4 Fe4 F24'
_cell_length_a 8.8782
_cell_length_b 8.8782
_cell_length_c 8.8782
_cell_angle_alpha 90.00
_cell_angle_beta 90.00
_cell_angle_gamma 90.00
_symmetry_space_group_name_H-M 'F m -3 m'
_symmetry_Int_Tables_number 225
_symmetry_space_group_name_Hall '-F 4 2 3'
loop_
_atom_site_label
_atom_site_type_symbol
_atom_site_fract_x
_atom_site_fract_y
_atom_site_fract_z
_atom_site_occupancy
Cs1 Cs 0.2500 0.2500 0.2500 1
Na1 Na 0.0000 0.0000 0.0000 1
Fe1 Fe 0.0000 0.0000 0.5000 1
F1 F 0.0000 0.0000 0.2765 1
```

***

Entry 3:
First-principles (PBE with a Hubbard U) data for Cs2FeOF5 after structural relaxation, as listed in the Materials Project.

Calculated formation energy   -2.314 eV/atom
Volume   22.1 Å³ per atom

Cell and atoms, written as CIF:
```
data_Cs2FeOF5
_chemical_formula_sum 'Cs8 Fe4 O4 F20'
_cell_length_a 9.9682
_cell_length_b 8.4338
_cell_length_c 9.4698
_cell_angle_alpha 90.00
_cell_angle_beta 90.00
_cell_angle_gamma 90.00
_symmetry_space_group_name_H-M 'C m c m'
_symmetry_Int_Tables_number 63
_symmetry_space_group_name_Hall '-C 2c 2'
loop_
_atom_site_label
_atom_site_type_symbol
_atom_site_fract_x
_atom_site_fract_y
_atom_site_fract_z
_atom_site_occupancy
Cs1 Cs 0.2135 0.0000 0.0000 1
Fe1 Fe 0.0000 0.2710 0.2500 1
O1 O 0.0000 0.4801 0.7500 1
F1 F 0.0000 0.0439 0.2500 1
F2 F 0.0000 0.2980 0.0459 1
F3 F 0.1941 0.3010 0.2500 1
```

***

Entry 4:
First-principles (PBE with a Hubbard U) data for CsFeO2F4 after structural relaxation, as listed in the Materials Project.

Calculated formation energy   -1.386 eV/atom
Volume   17.5 Å³ per atom

Cell and atoms, written as CIF:
```
data_CsFeO2F4
_chemical_formula_sum 'Cs4 Fe4 O8 F16'
_cell_length_a 12.2507
_cell_length_b 6.7847
_cell_length_c 7.7930
_cell_angle_alpha 90.00
_cell_angle_beta 120.02
_cell_angle_gamma 90.00
_symmetry_space_group_name_H-M 'C 1 2/c 1'
_symmetry_Int_Tables_number 15
loop_
_symmetry_equiv_pos_as_xyz
'x,y,z'
'-x,-y,-z'
'-x,y,-z+1/2'
'x,-y,z+1/2'
'x+1/2,y+1/2,z'
'-x+1/2,-y+1/2,-z'
'-x+1/2,y+1/2,-z+1/2'
'x+1/2,-y+1/2,z+1/2'
loop_
_atom_site_label
_atom_site_type_symbol
_atom_site_fract_x
_atom_site_fract_y
_atom_site_fract_z
_atom_site_occupancy
Cs1 Cs 0.0000 0.2335 0.2500 1
Fe1 Fe 0.2500 0.2500 0.0000 1
O1 O 0.1509 0.3437 0.7448 1
F1 F 0.1015 0.1632 0.9796 1
F2 F 0.2309 0.4946 0.6002 1
```